MgB2H8 | PBE | optimized geometry

Summary:
E_tot ... -3.924 eV per atom
Formation energy from the elements ... -0.227 eV per atom
V ... 10.9 Å³ per atom
Energy relative to the lowest polymorph listed for this composition ... 127 meV/atom
M_tot ... 0.01 Bohr magnetons per cell

Unit cell a=8.7781 b=8.7781 c=8.7781 alpha=60.00 beta=60.00 gamma=60.00
Closest atoms and distances in Å follow each position.
Positions (direct):
1 H 0.9844 0.9844 0.7550  1 B 1.22
2 H 0.4164 0.4164 0.7508  1 B 1.24
3 B 0.8913 0.3260 0.8913  4 H 1.22-1.24
4 H 0.7550 0.9844 0.9844  1 B 1.22
5 H 0.4950 0.2656 0.9738  1 B 1.22
6 Mg 0.5000 0.5000 0.5000  4 H 1.80
7 H 0.9738 0.2656 0.4950  1 B 1.22
8 B 0.3260 0.8913 0.8913  4 H 1.22-1.24
9 H 0.9844 0.9844 0.2762  1 B 1.22
10 H 0.4992 0.8336 0.8336  1 B 1.24
11 B 0.8913 0.8913 0.3260  4 H 1.22-1.24
12 H 0.2656 0.2656 0.4950  1 B 1.22
13 H 0.4164 0.4164 0.4164  1 B 1.24
14 H 0.7508 0.4164 0.4164  1 B 1.24
15 H 0.2656 0.9738 0.2656  1 B 1.22
16 H 0.9844 0.2762 0.9844  1 B 1.22
17 H 0.4950 0.2656 0.2656  1 B 1.22
18 H 0.2656 0.9738 0.4950  1 B 1.22
19 H 0.8336 0.8336 0.8336  1 B 1.24
20 B 0.3587 0.3587 0.3587  4 H 1.22-1.24
21 H 0.9844 0.7550 0.9844  1 B 1.22
22 H 0.2656 0.4950 0.9738  1 B 1.22
23 H 0.7550 0.9844 0.2762  1 B 1.22
24 H 0.2656 0.4950 0.2656  1 B 1.22
25 B 0.3587 0.3587 0.9240  4 H 1.22-1.24
26 B 0.9240 0.3587 0.3587  4 H 1.22-1.24
27 Mg 0.7500 0.7500 0.7500  4 H 1.80
28 H 0.8336 0.4992 0.8336  1 B 1.24
29 H 0.2762 0.9844 0.9844  1 B 1.22
30 H 0.2656 0.2656 0.9738  1 B 1.22
31 H 0.7550 0.2762 0.9844  1 B 1.22
32 Mg 0.0000 0.0000 0.0000  12 H 2.30, 4 B 2.34
33 H 0.4950 0.9738 0.2656  1 B 1.22
34 H 0.9844 0.2762 0.7550  1 B 1.22
35 H 0.2762 0.7550 0.9844  1 B 1.22
36 Mg 0.2500 0.2500 0.2500  12 H 2.30, 4 B 2.34
37 B 0.8913 0.8913 0.8913  4 H 1.22-1.24
38 H 0.9844 0.7550 0.2762  1 B 1.22
39 H 0.2762 0.9844 0.7550  1 B 1.22
40 H 0.4164 0.7508 0.4164  1 B 1.24
41 B 0.3587 0.9240 0.3587  4 H 1.22-1.24
42 H 0.8336 0.8336 0.4992  1 B 1.24
43 H 0.9738 0.2656 0.2656  1 B 1.22
44 H 0.9738 0.4950 0.2656  1 B 1.22